[1]
A geometry-optimized YVFe11H structure, computed with PBE.

Summary:
* electronic total energy: -8.090 eV per atom
* magnetic moment: 42.1 μB per cell
* total energy after the MP2020 corrections: -226.86 eV/cell
* calculated formation energy: -0.0942 eV/atom

Cell: 4.7166 8.4515 8.4668 Å, 90.00 90.00 90.00°
Closest atoms and distances in Å follow each position.
Space group Imm2 (No. 44)
Unique sites:
Y  0.0000  0.0000  0.0000 x2  2 H 2.36
V  0.0000  0.0000  0.6255 x2  1 Fe 2.26
Fe  0.0000  0.0000  0.3585 x2  1 V 2.26
Fe  0.0000  0.2750  0.4938 x4  1 H 1.90
Fe  0.0000  0.3592  0.9938 x4  9 Fe 2.38-2.62
Fe  0.0000  0.5000  0.2665 x2  1 H 1.94
Fe  0.0000  0.5000  0.7222 x2  1 H 1.92
Fe  0.2501  0.2503  0.2455 x8  9 Fe 2.36-2.60, 1 V 2.62
H  0.0000  0.5000  0.4953 x2  4 Fe 1.90-1.94

[2]
A geometry-optimized LaTi2TlO6 structure, computed with PBE.

Summary:
* electronic total energy: -8.007 eV per atom
* magnetic moment: 0.0 μB per cell
* total energy after the MP2020 corrections: -336.77 eV/cell
* calculated formation energy: -3.1414 eV/atom

Cell: 7.9426 7.9426 7.9426 Å, 90.00 90.00 90.00°
Closest atoms and distances in Å follow each position.
Space group Fm-3m (No. 225)
Unique sites:
La  0.0000  0.0000  0.0000 x4  12 O 2.81
Ti  0.2500  0.2500  0.2500 x8  6 O 1.99
Tl  0.0000  0.0000  0.5000 x4  12 O 2.81
O  0.0000  0.2500  0.2500 x24  2 Ti 1.99

[3]
A geometry-optimized BaNd2PdO5 structure, computed with PBE.

Summary:
* electronic total energy: -7.189 eV per atom
* magnetic moment: 0.0 μB per cell
* total energy after the MP2020 corrections: -136.28 eV/cell
* calculated formation energy: -2.9738 eV/atom

Cell: 6.8125 6.8125 5.9830 Å, 90.00 90.00 90.00°
Closest atoms and distances in Å follow each position.
Space group P4/mbm (No. 127)
Unique sites:
Ba  0.0000  0.0000  0.0000 x2  10 O 2.99-3.03
Nd  0.1737  0.3263  0.5000 x4  4 O 2.33-2.52
Pd  0.0000  0.5000  0.0000 x2  4 O 2.03
O  0.0000  0.0000  0.5000 x2  4 Nd 2.52
O  0.1405  0.6405  0.2519 x8  1 Pd 2.03

[4]
A geometry-optimized ZnP2 structure, computed with PBE.

Summary:
* maximum piezoelectric response: 0.02 C/m²
* electronic total energy: -4.277 eV per atom
* calculated formation energy: -0.2485 eV/atom

Cell: 5.1016 5.1016 18.6280 Å, 90.00 90.00 90.00°
Closest atoms and distances in Å follow each position.
Space group P4_32_12 (No. 96)
Unique sites:
Zn  0.1360  0.3459  0.1993 x8  4 P 2.38-2.42
P  0.0095  0.0188  0.3741 x8  2 P 2.18-2.23, 2 Zn 2.40
P  0.1816  0.6982  0.4405 x8  2 P 2.18-2.23, 2 Zn 2.38-2.42

[5]
A geometry-optimized CeSe2 structure, computed with PBE.

Summary:
* electronic total energy: -5.397 eV per atom
* magnetic moment: 0.0 μB per cell
* total energy after the MP2020 corrections: -274.14 eV/cell
* calculated formation energy: -1.4029 eV/atom

Cell: 15.4599 15.4599 13.9359 Å, 90.00 90.00 90.00°
Closest atoms and distances in Å follow each position.
Space group I-42m (No. 121)
Unique sites:
Ce  0.0626  0.2958  0.1822 x16  4 Se 2.72-2.73
Se  0.0000  0.2845  0.0000 x8  2 Ce 2.72
Se  0.0699  0.3238  0.6927 x16  2 Ce 2.72
Se  0.1454  0.1454  0.2269 x8  2 Ce 2.73

[6]
A geometry-optimized LaTi6Bi7O24 structure, computed with PBE.

Summary:
* electronic total energy: -7.492 eV per atom
* magnetic moment: 0.0 μB per cell
* total energy after the MP2020 corrections: -301.19 eV/cell
* calculated formation energy: -2.7078 eV/atom

Cell: 5.4732 5.5213 16.9167 Å, 99.37 90.04 90.67°
Closest atoms and distances in Å follow each position.
Space group P1 (No. 1)
Unique sites:
La  0.0000  0.0000  0.0000 x1  7 O 2.45-2.62
Ti  0.0022  0.5868  0.1289 x1  3 O 1.78-1.99
Ti  0.0081  0.3217  0.6166 x1  2 O 1.77-1.89
Ti  0.4935  0.9472  0.8724 x1  4 O 1.82-2.00
Ti  0.5022  0.8210  0.6155 x1  3 O 1.76-1.94
Ti  0.5037  0.0719  0.1289 x1  3 O 1.79-1.94
Ti  0.9927  0.4499  0.8755 x1  5 O 1.85-2.04
Bi  0.0059  0.8296  0.7405 x1  4 O 2.26-2.44
Bi  0.0403  0.1047  0.2944 x1  4 O 2.22-2.45
Bi  0.4918  0.6035  0.2960 x1  4 O 2.22-2.46
Bi  0.5009  0.4722  0.0088 x1  5 O 2.31-2.52
Bi  0.5117  0.3342  0.7377 x1  6 O 2.31-2.58
Bi  0.5435  0.1811  0.4504 x1  4 O 2.22-2.45
Bi  0.9964  0.6855  0.4471 x1  4 O 2.23-2.41
O  0.0538  0.4344  0.7561 x1  1 Ti 2.04, 1 Bi 2.26
O  0.0606  0.6425  0.2337 x1  1 Ti 1.78
O  0.2017  0.6386  0.6260 x1  2 Ti 1.94-2.02
O  0.2250  0.2291  0.8969 x1  1 Ti 1.85
O  0.2271  0.3103  0.0930 x1  2 Ti 1.99-2.17
O  0.2295  0.7404  0.8888 x1  2 Ti 1.88-2.03
O  0.2547  0.4169  0.3747 x1  3 Bi 2.22-2.32
O  0.2683  0.8093  0.0945 x1  2 Ti 1.94-2.04
O  0.2677  0.9139  0.3736 x1  4 Bi 2.22-2.41
O  0.2927  0.1374  0.6247 x1  2 Ti 1.89-2.09
O  0.4203  0.9365  0.7562 x1  1 Ti 2.00
O  0.4422  0.1472  0.2338 x1  1 Ti 1.79
O  0.5537  0.7838  0.5114 x1  1 Ti 1.76
O  0.5574  0.0528  0.9892 x1  1 Ti 2.00
O  0.7164  0.3688  0.1164 x1  2 Ti 1.95-2.04
O  0.7197  0.5837  0.6494 x1  2 Ti 1.93-2.16
O  0.7218  0.2312  0.8549 x1  2 Ti 1.90-2.05
O  0.7453  0.7310  0.8588 x1  1 Ti 1.82
O  0.7557  0.4142  0.3702 x1  3 Bi 2.23-2.32
O  0.7685  0.9124  0.3710 x1  4 Bi 2.22-2.46
O  0.7698  0.0865  0.6528 x1  2 Ti 2.00-2.08
O  0.7800  0.8710  0.1224 x1  2 Ti 1.88-2.01
O  0.9226  0.5403  0.9890 x1  1 Ti 1.94
O  0.9465  0.2723  0.5122 x1  1 Ti 1.77

[7]
A geometry-optimized SrGa2O4 structure, computed with PBE.

Summary:
* electronic total energy: -6.180 eV per atom
* magnetic moment: 0.0 μB per cell
* total energy after the MP2020 corrections: -368.07 eV/cell
* calculated formation energy: -2.6388 eV/atom

Cell: 8.2151 10.8768 12.1388 Å, 90.00 130.87 90.00°
Closest atoms and distances in Å follow each position.
Space group P2_1/c (No. 14)
Unique sites:
Sr  0.2034  0.1523  0.2001 x4  6 O 2.50-2.79
Sr  0.2202  0.6095  0.2252 x4  4 O 2.43-2.64
Ga  0.1679  0.1134  0.9050 x4  4 O 1.86-1.87
Ga  0.2588  0.6136  0.9306 x4  4 O 1.84-1.91
Ga  0.3488  0.1378  0.5676 x4  4 O 1.84-1.89
Ga  0.4007  0.6349  0.5925 x4  4 O 1.86-1.89
O  0.0818  0.5345  0.7513 x4  2 Ga 1.86
O  0.1051  0.2414  0.4534 x4  2 Ga 1.87-1.89
O  0.1835  0.7172  0.4165 x4  2 Ga 1.89-1.91
O  0.2467  0.5191  0.0545 x4  2 Ga 1.86-1.88
O  0.3078  0.0248  0.0779 x4  2 Ga 1.86-1.87
O  0.3182  0.1134  0.8384 x4  2 Ga 1.87-1.89
O  0.4528  0.1352  0.4719 x4  2 Ga 1.84
O  0.4660  0.7190  0.7521 x4  2 Ga 1.88

[8]
A geometry-optimized Y3Ga structure, computed with PBE.

Summary:
* electronic total energy: -5.845 eV per atom
* magnetic moment: 1.1 μB per cell
* calculated formation energy: -0.2380 eV/atom

Cell: 4.7571 4.7571 4.7571 Å, 90.00 90.00 90.00°
Closest atoms and distances in Å follow each position.
Space group Pm-3m (No. 221)
Unique sites:
Y  0.0000  0.0000  0.5000 x3  8 Y 3.36, 4 Ga 3.36
Ga  0.5000  0.5000  0.5000 x1  12 Y 3.36

[9]
A geometry-optimized Ca10Mg7Al6Si17O60 structure, computed with PBE.

Summary:
* electronic total energy: -7.381 eV per atom
* magnetic moment: 0.0 μB per cell
* total energy after the MP2020 corrections: -779.33 eV/cell
* calculated formation energy: -3.3649 eV/atom

Cell: 5.3159 6.6317 32.4938 Å, 86.15 87.51 78.15°
Closest atoms and distances in Å follow each position.
Space group P1 (No. 1)
Unique sites:
Ca  0.0000  0.0000  0.0000 x1  6 O 2.33-2.60
Ca  0.0128  0.4009  0.5198 x1  6 O 2.35-2.62
Ca  0.1983  0.0006  0.1984 x1  8 O 2.41-2.68
Ca  0.2188  0.4001  0.7211 x1  6 O 2.33-2.58
Ca  0.3876  0.0190  0.3974 x1  8 O 2.40-2.64
Ca  0.4195  0.4009  0.9212 x1  6 O 2.33-2.58
Ca  0.5970  0.0010  0.6005 x1  6 O 2.33-2.58
Ca  0.6186  0.4029  0.1222 x1  5 O 2.31-2.58
Ca  0.7982  0.0020  0.8005 x1  5 O 2.32-2.59
Ca  0.8178  0.3863  0.3214 x1  7 O 2.35-2.61
Mg  0.0876  0.6123  0.0808 x1  6 O 2.04-2.21
Mg  0.1386  0.7900  0.6419 x1  6 O 2.05-2.12
Mg  0.3397  0.7914  0.8420 x1  6 O 2.05-2.13
Mg  0.4700  0.6104  0.4764 x1  6 O 2.06-2.17
Mg  0.5448  0.7912  0.0422 x1  6 O 2.06-2.17
Mg  0.6755  0.6071  0.6787 x1  6 O 2.04-2.16
Mg  0.8766  0.6079  0.8788 x1  6 O 2.05-2.15
Al  0.1555  0.5095  0.1860 x1  4 O 1.71-1.81
Al  0.2770  0.6031  0.2788 x1  4 O 1.84-2.02
Al  0.3268  0.0814  0.2975 x1  4 O 1.74-1.81
Al  0.3430  0.5201  0.3821 x1  4 O 1.73-1.80
Al  0.7412  0.7960  0.2425 x1  4 O 1.89-1.95
Al  0.9393  0.7999  0.4403 x1  5 O 1.86-2.04
Si  0.0476  0.8940  0.5350 x1  4 O 1.60-1.70
Si  0.0973  0.3199  0.6215 x1  4 O 1.60-1.71
Si  0.1232  0.0816  0.0986 x1  4 O 1.60-1.71
Si  0.2522  0.8928  0.7361 x1  4 O 1.60-1.71
Si  0.3002  0.3205  0.8217 x1  4 O 1.60-1.71
Si  0.4535  0.8932  0.9359 x1  4 O 1.60-1.71
Si  0.5031  0.3206  0.0219 x1  4 O 1.60-1.71
Si  0.5183  0.0803  0.4979 x1  4 O 1.60-1.70
Si  0.5581  0.5085  0.5836 x1  4 O 1.61-1.71
Si  0.6648  0.8920  0.1374 x1  4 O 1.61-1.70
Si  0.6933  0.3098  0.2214 x1  4 O 1.63-1.68
Si  0.7146  0.0801  0.6985 x1  4 O 1.60-1.70
Si  0.7621  0.5085  0.7841 x1  4 O 1.61-1.71
Si  0.8604  0.8960  0.3381 x1  4 O 1.64-1.66
Si  0.8882  0.3207  0.4208 x1  4 O 1.63-1.67
Si  0.9151  0.0811  0.8983 x1  4 O 1.60-1.70
Si  0.9643  0.5083  0.9844 x1  4 O 1.61-1.71
O  0.0069  0.8071  0.5815 x1  1 Si 1.60
O  0.0098  0.5879  0.9374 x1  1 Si 1.61
O  0.0185  0.3175  0.0837 x1  1 Si 1.60
O  0.0373  0.3306  0.7936 x1  2 Si 1.69-1.71
O  0.0426  0.4962  0.6546 x1  1 Si 1.61
O  0.0860  0.6789  0.2275 x1  3 Al 1.79-1.97
O  0.0881  0.7372  0.4976 x1  1 Si 1.63
O  0.0919  0.0261  0.3362 x1  1 Si 1.64, 1 Al 1.81
O  0.1104  0.3601  0.3858 x1  1 Si 1.65, 1 Al 1.78
O  0.1768  0.9095  0.0648 x1  1 Si 1.61
O  0.1792  0.0717  0.9258 x1  2 Si 1.68-1.71
O  0.2052  0.8116  0.7826 x1  1 Si 1.60
O  0.2059  0.0848  0.6369 x1  1 Si 1.60
O  0.2061  0.3388  0.2823 x1  2 Al 1.74-1.86
O  0.2276  0.6123  0.1382 x1  1 Al 1.71
O  0.2398  0.3304  0.9939 x1  2 Si 1.69-1.71
O  0.2438  0.4968  0.8547 x1  1 Si 1.61
O  0.2736  0.6978  0.4212 x1  2 Al 1.77-1.86
O  0.2859  0.0270  0.5322 x1  2 Si 1.68-1.70
O  0.3064  0.7278  0.7005 x1  1 Si 1.62
O  0.3265  0.3676  0.5858 x1  2 Si 1.69-1.71
O  0.3854  0.0622  0.1279 x1  2 Si 1.70
O  0.4017  0.8769  0.2636 x1  2 Al 1.78-1.89
O  0.4038  0.3144  0.4822 x1  1 Si 1.60
O  0.4046  0.5918  0.3310 x1  2 Al 1.73-1.84
O  0.4085  0.8116  0.9825 x1  1 Si 1.60
O  0.4097  0.0856  0.8371 x1  1 Si 1.60
O  0.4358  0.3084  0.1958 x1  1 Si 1.63, 1 Al 1.81
O  0.4506  0.4981  0.0548 x1  1 Si 1.62
O  0.4861  0.0314  0.7340 x1  2 Si 1.69-1.70
O  0.5065  0.6735  0.6189 x1  1 Si 1.61
O  0.5072  0.7282  0.9004 x1  1 Si 1.62
O  0.5283  0.3700  0.7858 x1  2 Si 1.69-1.71
O  0.5946  0.0695  0.3293 x1  1 Si 1.65, 1 Al 1.78
O  0.5953  0.9009  0.4647 x1  1 Si 1.64
O  0.5991  0.5874  0.5364 x1  1 Si 1.61
O  0.6035  0.3135  0.6820 x1  1 Si 1.60
O  0.6141  0.0862  0.0375 x1  1 Si 1.60
O  0.6265  0.3308  0.3954 x1  1 Si 1.63, 1 Al 1.80
O  0.6312  0.5042  0.2532 x1  1 Si 1.68
O  0.6346  0.8210  0.1862 x1  1 Si 1.63
O  0.6864  0.0324  0.9337 x1  2 Si 1.69-1.70
O  0.7084  0.6744  0.8191 x1  1 Si 1.61
O  0.7162  0.7261  0.1024 x1  1 Si 1.61
O  0.7307  0.3694  0.9859 x1  2 Si 1.69-1.71
O  0.7709  0.9031  0.6653 x1  1 Si 1.62
O  0.7737  0.0745  0.5271 x1  2 Si 1.68-1.70
O  0.8042  0.3143  0.8817 x1  1 Si 1.60
O  0.8054  0.0753  0.2415 x1  1 Si 1.65
O  0.8091  0.5875  0.7370 x1  1 Si 1.61
O  0.8107  0.8107  0.3861 x1  1 Si 1.65
O  0.8347  0.3318  0.5932 x1  2 Si 1.69-1.71
O  0.8461  0.5089  0.4534 x1  1 Si 1.67
O  0.8914  0.0348  0.1339 x1  2 Si 1.67-1.71
O  0.9115  0.7302  0.3009 x1  1 Si 1.66
O  0.9117  0.6737  0.0197 x1  1 Si 1.61
O  0.9157  0.3553  0.1870 x1  1 Si 1.65, 1 Al 1.79
O  0.9719  0.9037  0.8653 x1  1 Si 1.62
O  0.9786  0.0715  0.7259 x1  2 Si 1.68-1.71
O  0.9932  0.0838  0.4401 x1  1 Si 1.65

[10]
A geometry-optimized Cs2Tc2O5 structure, computed with PBE.

Summary:
* electronic total energy: -6.444 eV per atom
* magnetic moment: 0.3 μB per cell
* total energy after the MP2020 corrections: -61.43 eV/cell
* calculated formation energy: -1.5755 eV/atom

Cell: 3.9401 3.9401 9.4395 Å, 90.00 90.00 90.00°
Closest atoms and distances in Å follow each position.
Space group P4/mmm (No. 123)
Unique sites:
Cs  0.0000  0.0000  0.0000 x1  12 O 2.79-3.00
Cs  0.0000  0.0000  0.5000 x1  8 O 3.14
Tc  0.5000  0.5000  0.2185 x2  5 O 1.98-2.06
O  0.0000  0.5000  0.2403 x4  2 Tc 1.98
O  0.5000  0.5000  0.0000 x1  2 Tc 2.06

[11]
A geometry-optimized HoInPt2 structure, computed with PBE.

Summary:
* electronic total energy: -5.698 eV per atom
* magnetic moment: 0.0 μB per cell
* calculated formation energy: -0.8284 eV/atom

Cell: 4.7348 4.7348 8.5217 Å, 90.00 90.00 120.00°
Closest atoms and distances in Å follow each position.
Space group P6_3/mmc (No. 194)
Unique sites:
Ho  0.0000  0.0000  0.0000 x2  6 Pt 2.85
In  0.3333  0.6667  0.2500 x2  8 Pt 2.92-3.04
Pt  0.3333  0.6667  0.5926 x4  1 Pt 2.68, 3 Ho 2.85, 1 In 2.92

[12]
A geometry-optimized CeRuRh structure, computed with PBE.

Summary:
* electronic total energy: -8.023 eV per atom
* magnetic moment: 0.1 μB per cell
* calculated formation energy: -0.4987 eV/atom

Cell: 5.0950 5.3998 7.9343 Å, 90.00 90.00 90.00°
Closest atoms and distances in Å follow each position.
Space group Imma (No. 74)
Unique sites:
Ce  0.0000  0.2500  0.1239 x4  6 Rh 3.05-3.28, 6 Ru 3.15-3.23, 4 Ce 3.24-3.34
Ru  0.2500  0.2500  0.7500 x4  2 Ru 2.55, 4 Rh 2.72
Rh  0.0000  0.0000  0.5000 x4  2 Rh 2.70, 4 Ru 2.72